{"formula": "AgN", "functional": "GGA-PBE", "state": "optimized geometry", "lattice": [[1.6303, 2.3338, 2.5467], [-3.4506, 1.2966, 1.0011], [-0.3823, -4.1255, 4.0253]], "species": ["Ag", "Ag", "N", "N"], "fractional_positions": [[0.5106, 0.4976, 0.7500], [0.4976, 0.5106, 0.2500], [0.0024, 0.5149, 0.2500], [0.5149, 0.0024, 0.7500]], "delta_e_f_kj_per_mol_fu": 370, "space_group": "Ama2 (40)", "relative_energy_ev_per_fu": 1.000}